# PBE+U MnCd2TeO6, relaxed
data_MnCd2TeO6
_chemical_formula_sum 'Mn4 Cd8 Te4 O24'
_symmetry_space_group_name_H-M 'P 1'
_symmetry_Int_Tables_number 1
_cell_length_a 6.497
_cell_length_b 13.008
_cell_length_c 6.479
_cell_angle_alpha 90.24
_cell_angle_beta 90.79
_cell_angle_gamma 90.13
loop_
_symmetry_equiv_pos_as_xyz
'x,y,z'
loop_
_atom_site_label
_atom_site_type_symbol
_atom_site_fract_x
_atom_site_fract_y
_atom_site_fract_z
Mn1 Mn 0.564 0.526 0.747
Mn2 Mn 0.049 0.875 0.562
Mn3 Mn 0.564 0.026 0.746
Mn4 Mn 0.049 0.375 0.562
Cd1 Cd 0.749 0.283 0.052
Cd2 Cd 0.749 0.783 0.052
Cd3 Cd 0.438 0.475 0.254
Cd4 Cd 0.438 0.975 0.254
Cd5 Cd 0.951 0.126 0.438
Cd6 Cd 0.951 0.626 0.438
Cd7 Cd 0.253 0.218 0.951
Cd8 Cd 0.253 0.718 0.951
Te1 Te 0.502 0.253 0.507
Te2 Te 0.502 0.753 0.507
Te3 Te 0.000 0.498 0.995
Te4 Te 0.000 0.998 0.995
O1 O 0.916 0.018 0.704
O2 O 0.916 0.518 0.704
O3 O 0.042 0.355 0.908
O4 O 0.042 0.855 0.908
O5 O 0.708 0.464 0.033
O6 O 0.708 0.964 0.033
O7 O 0.075 0.470 0.285
O8 O 0.075 0.970 0.285
O9 O 0.958 0.142 0.078
O10 O 0.958 0.642 0.078
O11 O 0.289 0.036 0.944
O12 O 0.289 0.536 0.944
O13 O 0.437 0.396 0.578
O14 O 0.437 0.896 0.579
O15 O 0.791 0.286 0.445
O16 O 0.791 0.786 0.444
O17 O 0.565 0.210 0.792
O18 O 0.565 0.710 0.792
O19 O 0.564 0.107 0.445
O20 O 0.564 0.607 0.445
O21 O 0.210 0.226 0.566
O22 O 0.210 0.726 0.566
O23 O 0.439 0.287 0.217
O24 O 0.439 0.787 0.217
# - Calculated total energy: -5.4690 eV/atom
# - Calculated density: 6.1 g/cm3
# - Formation enthalpy at 0 K: -1.66 eV per atom

---

# PBE+U CdMoO4, relaxed
data_CdMoO4
_chemical_formula_sum 'Cd2 Mo2 O8'
_symmetry_space_group_name_H-M 'P 1'
_symmetry_Int_Tables_number 1
_cell_length_a 6.810
_cell_length_b 6.810
_cell_length_c 6.810
_cell_angle_alpha 134.61
_cell_angle_beta 134.61
_cell_angle_gamma 66.14
loop_
_symmetry_equiv_pos_as_xyz
'x,y,z'
loop_
_atom_site_label
_atom_site_type_symbol
_atom_site_fract_x
_atom_site_fract_y
_atom_site_fract_z
Cd1 Cd 0.375 0.125 0.250
Cd2 Cd 0.625 0.875 0.750
Mo1 Mo 0.125 0.375 0.750
Mo2 Mo 0.875 0.625 0.250
O1 O 0.055 0.705 0.839
O2 O 0.205 0.867 0.650
O3 O 0.284 0.445 0.150
O4 O 0.367 0.216 0.661
O5 O 0.633 0.784 0.339
O6 O 0.716 0.555 0.850
O7 O 0.795 0.133 0.350
O8 O 0.945 0.295 0.161
# - Space group: I4_1/a, No. 88
# - Calculated total energy: -6.0892 eV/atom
# - Calculated density: 5.7 g/cm3
# - Formation enthalpy at 0 K: -1.82 eV per atom

---

# PBE+U CdTeMoO6, relaxed
data_CdTeMoO6
_chemical_formula_sum 'Cd2 Te2 Mo2 O12'
_symmetry_space_group_name_H-M 'P 1'
_symmetry_Int_Tables_number 1
_cell_length_a 5.362
_cell_length_b 5.362
_cell_length_c 9.346
_cell_angle_alpha 90.00
_cell_angle_beta 90.00
_cell_angle_gamma 90.00
loop_
_symmetry_equiv_pos_as_xyz
'x,y,z'
loop_
_atom_site_label
_atom_site_type_symbol
_atom_site_fract_x
_atom_site_fract_y
_atom_site_fract_z
Cd1 Cd 0.000 0.000 0.000
Cd2 Cd 0.500 0.500 0.000
Te1 Te 0.000 0.500 0.256
Te2 Te 0.500 0.000 0.744
Mo1 Mo 0.000 0.500 0.686
Mo2 Mo 0.500 0.000 0.314
O1 O 0.182 0.682 0.573
O2 O 0.192 0.308 0.122
O3 O 0.219 0.281 0.785
O4 O 0.281 0.781 0.215
O5 O 0.308 0.808 0.878
O6 O 0.318 0.182 0.427
O7 O 0.682 0.818 0.427
O8 O 0.692 0.192 0.878
O9 O 0.719 0.219 0.215
O10 O 0.781 0.719 0.785
O11 O 0.808 0.692 0.122
O12 O 0.818 0.318 0.573
# - Space group: P-42_1m, No. 113
# - Maximum piezoelectric response: 0.22 C/m2
# - Calculated total energy: -5.8729 eV/atom
# - Calculated density: 5.3 g/cm3
# - Formation enthalpy at 0 K: -1.73 eV per atom

---

# PBE+U UCdMo4O16, relaxed
data_UCdMo4O16
_chemical_formula_sum 'U2 Cd2 Mo8 O32'
_symmetry_space_group_name_H-M 'P 1'
_symmetry_Int_Tables_number 1
_cell_length_a 8.261
_cell_length_b 6.720
_cell_length_c 14.224
_cell_angle_alpha 90.00
_cell_angle_beta 125.04
_cell_angle_gamma 90.00
loop_
_symmetry_equiv_pos_as_xyz
'x,y,z'
loop_
_atom_site_label
_atom_site_type_symbol
_atom_site_fract_x
_atom_site_fract_y
_atom_site_fract_z
U1 U 0.000 0.202 0.250
U2 U 0.000 0.798 0.750
Cd1 Cd 0.500 0.199 0.250
Cd2 Cd 0.500 0.801 0.750
Mo1 Mo 0.198 0.330 0.907
Mo2 Mo 0.198 0.670 0.407
Mo3 Mo 0.304 0.328 0.597
Mo4 Mo 0.304 0.672 0.097
Mo5 Mo 0.696 0.328 0.903
Mo6 Mo 0.696 0.672 0.403
Mo7 Mo 0.802 0.330 0.593
Mo8 Mo 0.802 0.670 0.093
O1 O 0.000 0.442 0.750
O2 O 0.000 0.558 0.250
O3 O 0.091 0.348 0.596
O4 O 0.091 0.652 0.096
O5 O 0.124 0.074 0.871
O6 O 0.124 0.926 0.371
O7 O 0.185 0.348 0.432
O8 O 0.185 0.652 0.932
O9 O 0.220 0.201 0.247
O10 O 0.220 0.799 0.747
O11 O 0.311 0.351 0.063
O12 O 0.311 0.649 0.563
O13 O 0.363 0.076 0.626
O14 O 0.363 0.924 0.126
O15 O 0.405 0.343 0.903
O16 O 0.405 0.657 0.403
O17 O 0.500 0.434 0.750
O18 O 0.500 0.566 0.250
O19 O 0.595 0.343 0.597
O20 O 0.595 0.657 0.097
O21 O 0.637 0.076 0.874
O22 O 0.637 0.924 0.374
O23 O 0.689 0.351 0.437
O24 O 0.689 0.649 0.937
O25 O 0.780 0.201 0.253
O26 O 0.780 0.799 0.753
O27 O 0.815 0.348 0.068
O28 O 0.815 0.652 0.568
O29 O 0.876 0.074 0.629
O30 O 0.876 0.926 0.129
O31 O 0.909 0.348 0.904
O32 O 0.909 0.652 0.404
# - Space group: P2/c, No. 13
# - Calculated total energy: -7.2656 eV/atom
# - Calculated density: 5.1 g/cm3
# - Formation enthalpy at 0 K: -2.22 eV per atom

---

# PBE+U Cd4Mo3WO16, relaxed
data_Cd4Mo3WO16
_chemical_formula_sum 'Cd4 Mo3 W1 O16'
_symmetry_space_group_name_H-M 'P 1'
_symmetry_Int_Tables_number 1
_cell_length_a 5.240
_cell_length_b 5.240
_cell_length_c 11.506
_cell_angle_alpha 90.00
_cell_angle_beta 90.00
_cell_angle_gamma 90.00
loop_
_symmetry_equiv_pos_as_xyz
'x,y,z'
loop_
_atom_site_label
_atom_site_type_symbol
_atom_site_fract_x
_atom_site_fract_y
_atom_site_fract_z
Cd1 Cd 0.000 0.000 0.000
Cd2 Cd 0.000 0.500 0.250
Cd3 Cd 0.500 0.000 0.750
Cd4 Cd 0.500 0.500 0.500
Mo1 Mo 0.000 0.000 0.500
Mo2 Mo 0.000 0.500 0.750
Mo3 Mo 0.500 0.000 0.250
W1 W 0.500 0.500 0.000
O1 O 0.158 0.755 0.415
O2 O 0.160 0.256 0.835
O3 O 0.245 0.158 0.585
O4 O 0.245 0.658 0.665
O5 O 0.252 0.340 0.086
O6 O 0.256 0.840 0.165
O7 O 0.340 0.748 0.914
O8 O 0.342 0.245 0.335
O9 O 0.658 0.755 0.335
O10 O 0.660 0.252 0.914
O11 O 0.744 0.160 0.165
O12 O 0.748 0.660 0.086
O13 O 0.755 0.342 0.665
O14 O 0.755 0.842 0.585
O15 O 0.840 0.744 0.835
O16 O 0.842 0.245 0.415
# - Space group: P-4, No. 81
# - Calculated total energy: -6.1460 eV/atom
# - Calculated density: 6.2 g/cm3
# - Formation enthalpy at 0 K: -1.84 eV per atom

---

# PBE+U NaV4Cd3O12, relaxed
data_NaV4Cd3O12
_chemical_formula_sum 'Na1 V4 Cd3 O12'
_symmetry_space_group_name_H-M 'P 1'
_symmetry_Int_Tables_number 1
_cell_length_a 5.348
_cell_length_b 7.647
_cell_length_c 5.387
_cell_angle_alpha 90.00
_cell_angle_beta 90.46
_cell_angle_gamma 90.00
loop_
_symmetry_equiv_pos_as_xyz
'x,y,z'
loop_
_atom_site_label
_atom_site_type_symbol
_atom_site_fract_x
_atom_site_fract_y
_atom_site_fract_z
Na1 Na 0.000 0.000 0.000
V1 V 0.005 0.247 0.531
V2 V 0.005 0.753 0.531
V3 V 0.507 0.245 0.032
V4 V 0.507 0.755 0.032
Cd1 Cd 0.012 0.500 0.065
Cd2 Cd 0.499 0.500 0.568
Cd3 Cd 0.512 0.000 0.501
O1 O 0.095 0.000 0.556
O2 O 0.208 0.292 0.827
O3 O 0.208 0.708 0.827
O4 O 0.310 0.292 0.322
O5 O 0.310 0.708 0.322
O6 O 0.437 0.000 0.055
O7 O 0.591 0.500 0.011
O8 O 0.700 0.206 0.747
O9 O 0.700 0.794 0.747
O10 O 0.800 0.212 0.249
O11 O 0.800 0.788 0.249
O12 O 0.921 0.500 0.511
# - Space group: Pm, No. 6
# - Calculated total energy: -6.3010 eV/atom
# - Calculated density: 5.7 g/cm3
# - Formation enthalpy at 0 K: -2.06 eV per atom

---

# PBE+U NaV4Cd3O12, relaxed
data_NaV4Cd3O12
_chemical_formula_sum 'Na1 V4 Cd3 O12'
_symmetry_space_group_name_H-M 'P 1'
_symmetry_Int_Tables_number 1
_cell_length_a 5.354
_cell_length_b 5.401
_cell_length_c 7.667
_cell_angle_alpha 90.38
_cell_angle_beta 90.38
_cell_angle_gamma 90.33
loop_
_symmetry_equiv_pos_as_xyz
'x,y,z'
loop_
_atom_site_label
_atom_site_type_symbol
_atom_site_fract_x
_atom_site_fract_y
_atom_site_fract_z
Na1 Na 0.000 0.000 0.000
V1 V 0.483 0.967 0.236
V2 V 0.487 0.968 0.745
V3 V 0.985 0.465 0.252
V4 V 0.995 0.468 0.754
Cd1 Cd 0.489 0.500 0.002
Cd2 Cd 0.500 0.431 0.498
Cd3 Cd 0.980 0.933 0.498
O1 O 0.078 0.487 0.495
O2 O 0.198 0.740 0.791
O3 O 0.213 0.763 0.215
O4 O 0.298 0.257 0.206
O5 O 0.300 0.247 0.801
O6 O 0.398 0.998 0.502
O7 O 0.570 0.941 0.011
O8 O 0.692 0.684 0.712
O9 O 0.693 0.681 0.304
O10 O 0.780 0.170 0.298
O11 O 0.799 0.184 0.711
O12 O 0.910 0.453 0.013
# - Space group: P1, No. 1
# - Calculated total energy: -6.3184 eV/atom
# - Calculated density: 5.7 g/cm3
# - Formation enthalpy at 0 K: -2.08 eV per atom

---

# PBE+U CdNiO2, relaxed
data_CdNiO2
_chemical_formula_sum 'Cd1 Ni1 O2'
_symmetry_space_group_name_H-M 'P 1'
_symmetry_Int_Tables_number 1
_cell_length_a 3.221
_cell_length_b 3.221
_cell_length_c 4.552
_cell_angle_alpha 90.00
_cell_angle_beta 90.00
_cell_angle_gamma 90.00
loop_
_symmetry_equiv_pos_as_xyz
'x,y,z'
loop_
_atom_site_label
_atom_site_type_symbol
_atom_site_fract_x
_atom_site_fract_y
_atom_site_fract_z
Cd1 Cd 0.000 0.000 0.000
Ni1 Ni 0.500 0.500 0.500
O1 O 0.000 0.000 0.500
O2 O 0.500 0.500 0.000
# - Space group: P4/mmm, No. 123
# - Calculated total energy: -4.2819 eV/atom
# - Calculated density: 7.1 g/cm3
# - Formation enthalpy at 0 K: -1.11 eV per atom

---

# PBE+U CdNiP4O12, relaxed
data_CdNiP4O12
_chemical_formula_sum 'Cd2 Ni2 P8 O24'
_symmetry_space_group_name_H-M 'P 1'
_symmetry_Int_Tables_number 1
_cell_length_a 7.452
_cell_length_b 7.452
_cell_length_c 10.076
_cell_angle_alpha 112.36
_cell_angle_beta 112.36
_cell_angle_gamma 71.12
loop_
_symmetry_equiv_pos_as_xyz
'x,y,z'
loop_
_atom_site_label
_atom_site_type_symbol
_atom_site_fract_x
_atom_site_fract_y
_atom_site_fract_z
Cd1 Cd 0.050 0.950 0.750
Cd2 Cd 0.950 0.050 0.250
Ni1 Ni 0.000 0.500 0.500
Ni2 Ni 0.500 0.000 0.000
P1 P 0.268 0.719 0.025
P2 P 0.281 0.732 0.475
P3 P 0.305 0.313 0.804
P4 P 0.313 0.305 0.304
P5 P 0.687 0.695 0.696
P6 P 0.695 0.687 0.196
P7 P 0.719 0.268 0.525
P8 P 0.732 0.281 0.975
O1 O 0.093 0.824 0.081
O2 O 0.127 0.299 0.331
O3 O 0.176 0.907 0.419
O4 O 0.191 0.346 0.656
O5 O 0.198 0.687 0.573
O6 O 0.238 0.496 0.937
O7 O 0.299 0.127 0.831
O8 O 0.311 0.535 0.337
O9 O 0.313 0.802 0.927
O10 O 0.346 0.191 0.156
O11 O 0.465 0.689 0.163
O12 O 0.496 0.238 0.437
O13 O 0.504 0.762 0.563
O14 O 0.535 0.311 0.837
O15 O 0.654 0.809 0.844
O16 O 0.687 0.198 0.073
O17 O 0.689 0.465 0.663
O18 O 0.701 0.873 0.169
O19 O 0.762 0.504 0.063
O20 O 0.802 0.313 0.427
O21 O 0.809 0.654 0.344
O22 O 0.824 0.093 0.581
O23 O 0.873 0.701 0.669
O24 O 0.907 0.176 0.919
# - Space group: C2/c, No. 15
# - Calculated total energy: -6.6887 eV/atom
# - Calculated density: 3.5 g/cm3
# - Formation enthalpy at 0 K: -2.41 eV per atom

---

# PBE+U VCdPO7, relaxed
data_VCdPO7
_chemical_formula_sum 'V2 Cd2 P2 O14'
_symmetry_space_group_name_H-M 'P 1'
_symmetry_Int_Tables_number 1
_cell_length_a 5.531
_cell_length_b 6.982
_cell_length_c 7.480
_cell_angle_alpha 90.00
_cell_angle_beta 106.67
_cell_angle_gamma 90.00
loop_
_symmetry_equiv_pos_as_xyz
'x,y,z'
loop_
_atom_site_label
_atom_site_type_symbol
_atom_site_fract_x
_atom_site_fract_y
_atom_site_fract_z
V1 V 0.044 0.000 0.039
V2 V 0.956 0.500 0.961
Cd1 Cd 0.493 0.469 0.510
Cd2 Cd 0.507 0.969 0.490
P1 P 0.054 0.217 0.659
P2 P 0.946 0.717 0.341
O1 O 0.096 0.029 0.782
O2 O 0.108 0.400 0.784
O3 O 0.119 0.718 0.996
O4 O 0.221 0.723 0.466
O5 O 0.251 0.211 0.550
O6 O 0.281 0.438 0.182
O7 O 0.333 0.053 0.175
O8 O 0.667 0.553 0.825
O9 O 0.719 0.938 0.818
O10 O 0.749 0.711 0.450
O11 O 0.779 0.223 0.534
O12 O 0.881 0.218 0.004
O13 O 0.892 0.900 0.216
O14 O 0.904 0.529 0.218
# - Space group: P2_1, No. 4
# - Calculated total energy: -6.2827 eV/atom
# - Calculated density: 3.7 g/cm3
# - Formation enthalpy at 0 K: -1.93 eV per atom

---

# PBE+U RbV3Cd4O12, relaxed
data_RbV3Cd4O12
_chemical_formula_sum 'Rb2 V6 Cd8 O24'
_symmetry_space_group_name_H-M 'P 1'
_symmetry_Int_Tables_number 1
_cell_length_a 9.568
_cell_length_b 9.568
_cell_length_c 7.197
_cell_angle_alpha 107.10
_cell_angle_beta 107.10
_cell_angle_gamma 91.96
loop_
_symmetry_equiv_pos_as_xyz
'x,y,z'
loop_
_atom_site_label
_atom_site_type_symbol
_atom_site_fract_x
_atom_site_fract_y
_atom_site_fract_z
Rb1 Rb 0.027 0.973 0.500
Rb2 Rb 0.973 0.027 0.000
V1 V 0.129 0.351 0.890
V2 V 0.296 0.703 0.499
V3 V 0.351 0.129 0.390
V4 V 0.649 0.871 0.110
V5 V 0.703 0.296 0.999
V6 V 0.871 0.649 0.610
Cd1 Cd 0.063 0.383 0.400
Cd2 Cd 0.263 0.735 0.998
Cd3 Cd 0.383 0.063 0.900
Cd4 Cd 0.513 0.523 0.220
Cd5 Cd 0.523 0.513 0.720
Cd6 Cd 0.615 0.938 0.600
Cd7 Cd 0.735 0.263 0.498
Cd8 Cd 0.938 0.615 0.100
O1 O 0.005 0.671 0.848
O2 O 0.040 0.397 0.075
O3 O 0.177 0.729 0.280
O4 O 0.179 0.181 0.382
O5 O 0.181 0.179 0.882
O6 O 0.269 0.820 0.719
O7 O 0.285 0.484 0.960
O8 O 0.285 0.527 0.524
O9 O 0.329 0.994 0.152
O10 O 0.397 0.040 0.575
O11 O 0.475 0.714 0.477
O12 O 0.484 0.285 0.460
O13 O 0.518 0.709 0.041
O14 O 0.527 0.285 0.024
O15 O 0.602 0.958 0.925
O16 O 0.671 0.005 0.348
O17 O 0.709 0.518 0.541
O18 O 0.714 0.475 0.977
O19 O 0.729 0.177 0.780
O20 O 0.817 0.819 0.617
O21 O 0.819 0.817 0.117
O22 O 0.820 0.269 0.219
O23 O 0.958 0.602 0.425
O24 O 0.994 0.329 0.652
# - Space group: Cc, No. 9
# - Calculated total energy: -5.9292 eV/atom
# - Calculated density: 4.9 g/cm3
# - Formation enthalpy at 0 K: -2.03 eV per atom

---

# PBE+U RbV3Cd3O11, relaxed
data_RbV3Cd3O11
_chemical_formula_sum 'Rb4 V12 Cd12 O44'
_symmetry_space_group_name_H-M 'P 1'
_symmetry_Int_Tables_number 1
_cell_length_a 8.569
_cell_length_b 9.968
_cell_length_c 12.874
_cell_angle_alpha 90.00
_cell_angle_beta 98.33
_cell_angle_gamma 90.00
loop_
_symmetry_equiv_pos_as_xyz
'x,y,z'
loop_
_atom_site_label
_atom_site_type_symbol
_atom_site_fract_x
_atom_site_fract_y
_atom_site_fract_z
Rb1 Rb 0.111 0.248 0.010
Rb2 Rb 0.111 0.252 0.510
Rb3 Rb 0.889 0.748 0.490
Rb4 Rb 0.889 0.752 0.990
V1 V 0.222 0.568 0.395
V2 V 0.222 0.932 0.895
V3 V 0.236 0.568 0.149
V4 V 0.236 0.932 0.649
V5 V 0.321 0.175 0.284
V6 V 0.321 0.325 0.784
V7 V 0.679 0.675 0.216
V8 V 0.679 0.825 0.716
V9 V 0.764 0.068 0.351
V10 V 0.764 0.432 0.851
V11 V 0.778 0.068 0.105
V12 V 0.778 0.432 0.605
Cd1 Cd 0.080 0.625 0.761
Cd2 Cd 0.080 0.875 0.261
Cd3 Cd 0.433 0.605 0.653
Cd4 Cd 0.433 0.895 0.153
Cd5 Cd 0.452 0.645 0.932
Cd6 Cd 0.452 0.855 0.432
Cd7 Cd 0.548 0.145 0.568
Cd8 Cd 0.548 0.355 0.068
Cd9 Cd 0.567 0.105 0.847
Cd10 Cd 0.567 0.395 0.347
Cd11 Cd 0.920 0.125 0.739
Cd12 Cd 0.920 0.375 0.239
O1 O 0.038 0.502 0.377
O2 O 0.038 0.998 0.877
O3 O 0.054 0.002 0.628
O4 O 0.054 0.498 0.128
O5 O 0.131 0.230 0.266
O6 O 0.131 0.270 0.766
O7 O 0.216 0.744 0.397
O8 O 0.216 0.756 0.897
O9 O 0.217 0.742 0.149
O10 O 0.217 0.758 0.649
O11 O 0.321 0.508 0.783
O12 O 0.321 0.992 0.283
O13 O 0.323 0.516 0.283
O14 O 0.323 0.984 0.783
O15 O 0.324 0.505 0.508
O16 O 0.324 0.995 0.008
O17 O 0.346 0.510 0.055
O18 O 0.346 0.990 0.555
O19 O 0.417 0.233 0.407
O20 O 0.417 0.267 0.907
O21 O 0.420 0.239 0.187
O22 O 0.420 0.261 0.687
O23 O 0.580 0.739 0.313
O24 O 0.580 0.761 0.813
O25 O 0.583 0.733 0.093
O26 O 0.583 0.767 0.593
O27 O 0.654 0.010 0.445
O28 O 0.654 0.490 0.945
O29 O 0.676 0.005 0.992
O30 O 0.676 0.495 0.492
O31 O 0.677 0.016 0.217
O32 O 0.677 0.484 0.717
O33 O 0.679 0.008 0.717
O34 O 0.679 0.492 0.217
O35 O 0.783 0.242 0.351
O36 O 0.783 0.258 0.851
O37 O 0.784 0.244 0.103
O38 O 0.784 0.256 0.603
O39 O 0.869 0.730 0.234
O40 O 0.869 0.770 0.734
O41 O 0.946 0.502 0.872
O42 O 0.946 0.998 0.372
O43 O 0.962 0.002 0.123
O44 O 0.962 0.498 0.623
# - Space group: P2_1/c, No. 14
# - Calculated total energy: -6.1438 eV/atom
# - Calculated density: 4.6 g/cm3
# - Formation enthalpy at 0 K: -2.10 eV per atom